## Sr4Fe3O10 (PBE+U)

Data for a relaxed structure of Sr4Fe3O10.

Output
- formation energy (meV per atom) = -2274
- magnetization (μB/f.u.) = 12.00
- DFT total energy (eV/cell) = -213.341

Cell lengths 10.972, 7.714, 8.951 Å; angles 90.43, 71.28, 46.65 degrees
Positions (direct):
Sr: 0.630 0.627 0.234
Sr: 0.364 0.892 0.767
Sr: 0.870 0.373 0.766
Sr: 0.136 0.108 0.233
Sr: 0.156 0.585 0.222
Sr: 0.344 0.415 0.778
Sr: 0.622 0.133 0.223
Sr: 0.878 0.867 0.777
O: 0.253 0.747 0.014
O: 0.504 0.754 0.989
O: 0.960 0.125 0.501
O: 0.604 0.408 0.724
O: 0.745 0.256 0.983
O: 0.122 0.874 0.776
O: 0.515 0.226 0.971
O: 0.896 0.592 0.276
O: 0.667 0.818 0.729
O: 0.396 0.598 0.233
O: 0.755 0.744 0.017
O: 0.378 0.126 0.224
O: 0.540 0.875 0.499
O: 0.104 0.402 0.767
O: 0.985 0.774 0.029
O: 0.996 0.246 0.011
O: 0.903 0.824 0.500
O: 0.247 0.253 0.986
O: 0.597 0.176 0.500
O: 0.833 0.182 0.271
Fe: 0.001 0.498 0.999
Fe: 0.726 0.825 0.499
Fe: 0.499 0.502 0.001
Fe: 0.994 0.007 0.010
Fe: 0.506 0.993 0.990
Fe: 0.774 0.175 0.501